DFT (PBE) results for crystalline LaH16C4Cl3O4 at its relaxed geometry.

a b c (Å): 9.033 18.855 8.606
angles (deg): 90.00 109.00 90.00
Fractional positions:
1 La 0.177 0.088 0.130
2 La 0.177 0.412 0.630
3 La 0.823 0.588 0.370
4 La 0.823 0.912 0.870
5 H 0.037 0.135 0.584
6 H 0.037 0.365 0.084
7 H 0.049 0.568 0.066
8 H 0.049 0.932 0.566
9 H 0.068 0.744 0.667
10 H 0.068 0.756 0.167
11 H 0.105 0.598 0.685
12 H 0.105 0.902 0.185
13 H 0.146 0.057 0.572
14 H 0.146 0.443 0.072
15 H 0.164 0.176 0.431
16 H 0.164 0.324 0.931
17 H 0.170 0.709 0.537
18 H 0.170 0.791 0.037
19 H 0.240 0.691 0.753
20 H 0.240 0.809 0.253
21 H 0.289 0.173 0.876
22 H 0.289 0.327 0.376
23 H 0.309 0.626 0.217
24 H 0.309 0.874 0.717
25 H 0.377 0.678 0.078
26 H 0.377 0.822 0.578
27 H 0.395 0.041 0.826
28 H 0.395 0.459 0.326
29 H 0.444 0.126 0.765
30 H 0.444 0.374 0.265
31 H 0.449 0.591 0.537
32 H 0.449 0.909 0.037
33 H 0.463 0.690 0.295
34 H 0.463 0.810 0.795
35 H 0.488 0.565 0.114
36 H 0.488 0.935 0.614
37 H 0.512 0.065 0.386
38 H 0.512 0.435 0.886
39 H 0.537 0.190 0.205
40 H 0.537 0.310 0.705
41 H 0.551 0.091 0.963
42 H 0.551 0.409 0.463
43 H 0.556 0.626 0.735
44 H 0.556 0.874 0.235
45 H 0.605 0.541 0.674
46 H 0.605 0.959 0.174
47 H 0.623 0.178 0.422
48 H 0.623 0.322 0.922
49 H 0.691 0.126 0.283
50 H 0.691 0.374 0.783
51 H 0.711 0.673 0.624
52 H 0.711 0.827 0.124
53 H 0.760 0.191 0.747
54 H 0.760 0.309 0.247
55 H 0.830 0.209 0.963
56 H 0.830 0.291 0.463
57 H 0.836 0.676 0.069
58 H 0.836 0.824 0.569
59 H 0.854 0.557 0.928
60 H 0.854 0.943 0.428
61 H 0.895 0.098 0.815
62 H 0.895 0.402 0.315
63 H 0.932 0.244 0.833
64 H 0.932 0.256 0.333
65 H 0.951 0.068 0.434
66 H 0.951 0.432 0.934
67 H 0.963 0.635 0.916
68 H 0.963 0.865 0.416
69 C 0.060 0.095 0.501
70 C 0.060 0.405 0.001
71 C 0.135 0.699 0.646
72 C 0.135 0.801 0.146
73 C 0.412 0.651 0.198
74 C 0.412 0.849 0.698
75 C 0.435 0.095 0.868
76 C 0.435 0.405 0.368
77 C 0.565 0.595 0.632
78 C 0.565 0.905 0.132
79 C 0.588 0.151 0.302
80 C 0.588 0.349 0.802
81 C 0.865 0.199 0.854
82 C 0.865 0.301 0.354
83 C 0.940 0.595 0.999
84 C 0.940 0.905 0.499
85 Cl 0.125 0.523 0.389
86 Cl 0.125 0.977 0.889
87 Cl 0.219 0.240 0.167
88 Cl 0.219 0.260 0.667
89 Cl 0.287 0.532 0.843
90 Cl 0.287 0.968 0.343
91 Cl 0.713 0.032 0.657
92 Cl 0.713 0.468 0.157
93 Cl 0.781 0.740 0.333
94 Cl 0.781 0.760 0.833
95 Cl 0.875 0.023 0.111
96 Cl 0.875 0.477 0.611
97 O 0.037 0.637 0.623
98 O 0.037 0.863 0.123
99 O 0.117 0.131 0.383
100 O 0.117 0.369 0.883
101 O 0.324 0.128 0.935
102 O 0.324 0.372 0.435
103 O 0.470 0.099 0.295
104 O 0.470 0.401 0.795
105 O 0.530 0.599 0.205
106 O 0.530 0.901 0.705
107 O 0.676 0.628 0.565
108 O 0.676 0.872 0.065
109 O 0.883 0.631 0.117
110 O 0.883 0.869 0.617
111 O 0.963 0.137 0.877
112 O 0.963 0.363 0.377

Formation energy from the elements   -0.861 eV/atom
Size of the total moment   0.00 μB/cell
Calculated total energy   -571.33 eV/cell